CaAl3Au: relaxed, PBE.

Results
SG ... I4mm (107)
Final energy ... -3.795 eV per atom

Lattice parameters (Å, degrees): 4.1550 4.1550 6.5969 71.64 71.64 90.00
Closest atoms and distances in Å follow each position.
Atoms (fractional coordinates):
1 Al 0.7484 0.2484 0.5031  2 Au 2.64, 6 Al 2.69-2.94
2 Al 0.3938 0.3938 0.2125  1 Au 2.55, 4 Al 2.69
3 Al 0.2484 0.7484 0.5031  2 Au 2.64, 6 Al 2.69-2.94
4 Ca 0.9994 0.9994 0.0012  4 Al 3.19, 4 Au 3.22
5 Au 0.6100 0.6100 0.7800  5 Al 2.55-2.64